No. 1
Below is AgCSO3F3 after structural relaxation, with properties calculated at the GGA-PBE level.

Structure (POSCAR):
```
AgCSO3F3
1.0
-2.7365 -4.7397 0.0000
-5.4729 0.0000 0.0000
-2.7365 -1.5799 -11.1117
S F Ag O C
2 6 2 6 2
Direct
0.9446 0.9446 0.1662
0.0554 0.0554 0.8338
0.1122 0.6486 0.3767
0.6486 0.8626 0.3767
0.1374 0.8878 0.6233
0.8878 0.3514 0.6233
0.3514 0.1374 0.6233
0.8626 0.1122 0.3767
0.3347 0.3347 0.9960
0.6653 0.6653 0.0040
0.6937 0.2141 0.1334
0.0412 0.3063 0.8666
0.2141 0.9588 0.1334
0.9588 0.6937 0.1334
0.7859 0.0412 0.8666
0.3063 0.7859 0.8666
0.8880 0.8880 0.3360
0.1120 0.1120 0.6640
```

**Formation energy from the elements**: -1.583 eV per atom

---

No. 2
Below is AgH3CN2 after structural relaxation, with properties calculated at the GGA-PBE level.

Structure (POSCAR):
```
AgH3CN2
1.0
-4.3304 0.0000 0.0000
0.0000 0.0000 -5.8535
0.0000 -15.6319 0.0000
H C N Ag
12 4 8 4
Direct
0.4752 0.3903 0.1733
0.5248 0.6097 0.8267
0.4752 0.6097 0.3267
0.1582 0.2500 0.1990
0.1582 0.7500 0.3010
0.4752 0.1097 0.1733
0.5248 0.3903 0.6733
0.8418 0.7500 0.8010
0.5248 0.1097 0.6733
0.8418 0.2500 0.6990
0.5248 0.8903 0.8267
0.4752 0.8903 0.3267
0.8267 0.7500 0.1038
0.1733 0.2500 0.8962
0.1733 0.7500 0.6038
0.8267 0.2500 0.3962
0.8724 0.7500 0.1779
0.6553 0.2500 0.6585
0.3447 0.2500 0.1585
0.3447 0.7500 0.3415
0.1276 0.7500 0.6779
0.1276 0.2500 0.8221
0.8724 0.2500 0.3221
0.6553 0.7500 0.8415
0.7508 0.2500 0.5240
0.2492 0.7500 0.4760
0.2492 0.2500 0.0240
0.7508 0.7500 0.9760
```

**Formation energy from the elements**: -0.120 eV per atom

---

No. 3
Below is NaAgH16C4S4N2O10 after structural relaxation, with properties calculated at the GGA-PBE level.

Structure (POSCAR):
```
NaAgH16C4S4N2O10
1.0
11.2523 0.0000 0.0000
0.0000 11.3236 0.0000
0.0000 0.0000 14.2215
S O H C Ag N Na
16 40 64 16 4 8 4
Direct
0.5340 0.0839 0.6414
0.4808 0.5764 0.8410
0.9660 0.4161 0.1414
0.4660 0.9161 0.3586
0.0192 0.5764 0.6590
0.5340 0.4161 0.3586
0.9808 0.0764 0.6590
0.0192 0.9236 0.3410
0.5192 0.4236 0.1590
0.9660 0.0839 0.8586
0.5192 0.0764 0.8410
0.0340 0.5839 0.8586
0.4660 0.5839 0.6414
0.9808 0.4236 0.3410
0.0340 0.9161 0.1414
0.4808 0.9236 0.1590
0.8895 0.9320 0.3339
0.0640 0.8495 0.4171
0.7601 0.1217 0.1234
0.4974 0.0420 0.3606
0.1267 0.6203 0.9237
0.9360 0.1505 0.5829
0.7399 0.1217 0.3766
0.4974 0.4580 0.6394
0.0026 0.4580 0.8606
0.9974 0.9580 0.8606
0.1267 0.8797 0.0763
0.2601 0.6217 0.3766
0.8733 0.1203 0.9237
0.6105 0.9320 0.1661
0.3895 0.4320 0.1661
0.2399 0.8783 0.8766
0.3895 0.0680 0.8339
0.7399 0.3783 0.6234
0.0026 0.0420 0.1394
0.6105 0.5680 0.8339
0.6267 0.1203 0.5763
0.9974 0.5420 0.1394
0.0640 0.6505 0.5829
0.5640 0.3495 0.0829
0.8733 0.3797 0.0763
0.3733 0.8797 0.4237
0.5640 0.1505 0.9171
0.4360 0.6505 0.9171
0.5026 0.5420 0.3606
0.6267 0.3797 0.4237
0.9360 0.3495 0.4171
0.2399 0.6217 0.1234
0.3733 0.6203 0.5763
0.1105 0.0680 0.6661
0.5026 0.9580 0.6394
0.4360 0.8495 0.0829
0.8895 0.5680 0.6661
0.1105 0.4320 0.3339
0.7601 0.3783 0.8766
0.2601 0.8783 0.6234
0.6577 0.0915 0.3761
0.1577 0.5915 0.1239
0.3370 0.3529 0.3307
0.3274 0.4371 0.8658
0.1289 0.1345 0.9544
0.2070 0.5544 0.3631
0.7070 0.4456 0.8631
0.5361 0.6040 0.0761
0.0506 0.1230 0.2982
0.3711 0.3655 0.4544
0.6577 0.4085 0.6239
0.1577 0.9085 0.8761
0.1726 0.4371 0.6342
0.2070 0.9456 0.6369
0.9259 0.7406 0.1125
0.3711 0.1345 0.5456
0.7070 0.0544 0.1369
0.0361 0.1040 0.4239
0.5506 0.6230 0.2018
0.4259 0.2406 0.3875
0.0741 0.2594 0.8875
0.1289 0.3655 0.0456
0.1630 0.3529 0.1693
0.8274 0.9371 0.6342
0.5741 0.7594 0.6125
0.8370 0.6471 0.8307
0.5361 0.8960 0.9239
0.2930 0.9456 0.8631
0.9639 0.8960 0.5761
0.3423 0.5915 0.3761
0.8711 0.8655 0.0456
0.4494 0.1230 0.2018
0.4259 0.2594 0.6125
0.0361 0.3960 0.5761
0.0741 0.2406 0.1125
0.9494 0.6230 0.2982
0.2930 0.5544 0.1369
0.7930 0.4456 0.6369
0.8423 0.4085 0.8761
0.3274 0.0629 0.1342
0.8711 0.6345 0.9544
0.1630 0.1471 0.8307
0.6289 0.6345 0.5456
0.6726 0.9371 0.8658
0.4639 0.3960 0.9239
0.7930 0.0544 0.3631
0.9494 0.8770 0.7018
0.8370 0.8529 0.1693
0.6630 0.8529 0.3307
0.3423 0.9085 0.6239
0.4494 0.3770 0.7982
0.5741 0.7406 0.3875
0.4639 0.1040 0.0761
0.6726 0.5629 0.1342
0.0506 0.3770 0.7018
0.5506 0.8770 0.7982
0.3370 0.1471 0.6693
0.6289 0.8655 0.4544
0.1726 0.0629 0.3658
0.9639 0.6040 0.4239
0.9259 0.7594 0.8875
0.6630 0.6471 0.6693
0.8274 0.5629 0.3658
0.8423 0.0915 0.1239
0.9243 0.5691 0.3590
0.9028 0.6653 0.8856
0.0972 0.1653 0.8856
0.5757 0.5691 0.1410
0.4243 0.0691 0.1410
0.5972 0.8347 0.3856
0.4028 0.1653 0.6144
0.5757 0.9309 0.8590
0.0757 0.4309 0.6410
0.9028 0.8347 0.1144
0.0757 0.0691 0.3590
0.9243 0.9309 0.6410
0.5972 0.6653 0.6144
0.4243 0.4309 0.8590
0.0972 0.3347 0.1144
0.4028 0.3347 0.3856
0.2500 0.7646 0.2500
0.7500 0.2646 0.2500
0.2500 0.7354 0.7500
0.7500 0.2354 0.7500
0.0774 0.8731 0.2449
0.4226 0.8731 0.2551
0.4226 0.6269 0.7449
0.0774 0.6269 0.7551
0.5774 0.1269 0.7449
0.9226 0.1269 0.7551
0.9226 0.3731 0.2449
0.5774 0.3731 0.2551
0.7239 0.2500 0.0000
0.7761 0.2500 0.5000
0.2761 0.7500 0.0000
0.2239 0.7500 0.5000
```

**Formation energy from the elements**: -0.802 eV per atom

---

No. 4
Below is NdAgH10C20N6O8 after structural relaxation, with properties calculated at the GGA-PBE level.

Structure (POSCAR):
```
NdAgH10C20N6O8
1.0
8.7155 7.3026 0.0000
-8.7155 7.3026 0.0000
0.0000 3.9619 8.3156
C O Ag N H Nd
40 16 2 12 20 2
Direct
0.8078 0.8990 0.2058
0.0547 0.6176 0.1295
0.9353 0.3405 0.0327
0.6062 0.1732 0.6714
0.8268 0.3938 0.8286
0.6595 0.0647 0.4673
0.9574 0.6755 0.9270
0.6755 0.9574 0.4270
0.1922 0.1010 0.7942
0.8990 0.8078 0.7058
0.5803 0.7004 0.8355
0.3245 0.0426 0.5730
0.7224 0.0502 0.1276
0.1717 0.3961 0.7920
0.1010 0.1922 0.2942
0.3824 0.9453 0.3705
0.8387 0.6444 0.0459
0.6176 0.0547 0.6295
0.6039 0.8283 0.7080
0.0632 0.4076 0.7505
0.2776 0.9498 0.8724
0.9368 0.5924 0.2495
0.3405 0.9353 0.5327
0.3556 0.1613 0.4541
0.3938 0.8268 0.3286
0.2996 0.4197 0.6645
0.6444 0.8387 0.5459
0.5924 0.9368 0.7495
0.0426 0.3245 0.0730
0.0502 0.7224 0.6276
0.7004 0.5803 0.3355
0.4197 0.2996 0.1645
0.3961 0.1717 0.2920
0.0647 0.6595 0.9673
0.8283 0.6039 0.2080
0.9498 0.2776 0.3724
0.1613 0.3556 0.9541
0.1732 0.6062 0.1714
0.4076 0.0632 0.2505
0.9453 0.3824 0.8705
0.1681 0.5853 0.3173
0.4420 0.3022 0.0208
0.3805 0.7243 0.4398
0.3022 0.4420 0.5208
0.2757 0.6195 0.0602
0.3940 0.4100 0.7103
0.5853 0.1681 0.8173
0.7243 0.3805 0.9398
0.6195 0.2757 0.5602
0.8319 0.4147 0.6827
0.6060 0.5900 0.2897
0.4147 0.8319 0.1827
0.5580 0.6978 0.9792
0.4100 0.3940 0.2103
0.5900 0.6060 0.7897
0.6978 0.5580 0.4792
0.8597 0.1403 0.7500
0.1403 0.8597 0.2500
0.2083 0.9686 0.0005
0.7917 0.0314 0.9995
0.9682 0.7297 0.7623
0.9351 0.8458 0.5485
0.0649 0.1542 0.4515
0.7297 0.9682 0.2623
0.0314 0.7917 0.4995
0.2703 0.0318 0.7377
0.9686 0.2083 0.5005
0.8458 0.9351 0.0485
0.0318 0.2703 0.2377
0.1542 0.0649 0.9515
0.8428 0.3200 0.1240
0.6670 0.1187 0.1253
0.3478 0.2464 0.4844
0.1738 0.1647 0.2172
0.9295 0.5640 0.3756
0.6800 0.1572 0.3760
0.6522 0.7536 0.5156
0.8262 0.8353 0.7828
0.7536 0.6522 0.0156
0.3330 0.8813 0.8747
0.0705 0.4360 0.6244
0.2464 0.3478 0.9844
0.5640 0.9295 0.8756
0.8353 0.8262 0.2828
0.4360 0.0705 0.1244
0.1187 0.6670 0.6253
0.3200 0.8428 0.6240
0.8813 0.3330 0.3747
0.1572 0.6800 0.8760
0.1647 0.1738 0.7172
0.5936 0.4064 0.7500
0.4064 0.5936 0.2500
```

**Formation energy from the elements**: -0.520 eV per atom

---

No. 5
Below is AgH6C4N2O2 after structural relaxation, with properties calculated at the GGA-PBE level.

Structure (POSCAR):
```
AgH6C4N2O2
1.0
6.9601 0.0000 0.0000
0.0000 6.4999 0.0000
0.0000 0.6268 12.6252
N H C O Ag
8 24 16 8 4
Direct
0.2422 0.9918 0.3471
0.5094 0.1892 0.7495
0.7578 0.0082 0.6529
0.7578 0.9918 0.8471
0.4906 0.8108 0.2505
0.5094 0.8108 0.7505
0.2422 0.0082 0.1529
0.4906 0.1892 0.2495
0.5439 0.2038 0.5832
0.2735 0.6698 0.3461
0.7021 0.9942 0.3206
0.5439 0.7962 0.9168
0.9700 0.8630 0.7507
0.2759 0.6862 0.1529
0.7265 0.3302 0.6539
0.2735 0.3302 0.1539
0.4561 0.7962 0.4168
0.5418 0.1705 0.9159
0.2979 0.0058 0.6794
0.7265 0.6698 0.8461
0.7021 0.0058 0.1794
0.2759 0.3138 0.3471
0.5418 0.8295 0.5841
0.0300 0.8630 0.2507
0.7241 0.6862 0.6529
0.4561 0.2038 0.0832
0.7241 0.3138 0.8471
0.2979 0.9942 0.8206
0.4582 0.1705 0.4159
0.9700 0.1370 0.7493
0.4582 0.8295 0.0841
0.0300 0.1370 0.2493
0.6334 0.8240 0.6549
0.3654 0.1929 0.1544
0.6104 0.0000 0.2500
0.3896 0.0000 0.7500
0.6334 0.1760 0.8451
0.3654 0.8071 0.3456
0.1223 0.0000 0.2500
0.0716 0.5071 0.9511
0.8777 0.0000 0.7500
0.9284 0.4929 0.0489
0.6346 0.1929 0.6544
0.9284 0.5071 0.4511
0.0716 0.4929 0.5489
0.3666 0.8240 0.1549
0.3666 0.1760 0.3451
0.6346 0.8071 0.8456
0.1431 0.6816 0.9240
0.8930 0.6570 0.0960
0.8569 0.3184 0.0760
0.1431 0.3184 0.5760
0.8930 0.3430 0.4040
0.1070 0.6570 0.5960
0.8569 0.6816 0.4240
0.1070 0.3430 0.9040
0.0000 0.0000 0.5000
0.0000 0.0000 0.0000
0.3007 0.5000 0.7500
0.6993 0.5000 0.2500
```

**Formation energy from the elements**: -0.323 eV per atom

---

No. 6
Below is AgH2C2N3O after structural relaxation, with properties calculated at the GGA-PBE level.

Structure (POSCAR):
```
AgH2C2N3O
1.0
-2.2011 1.3288 -6.0723
6.4778 -6.5512 -3.7818
-9.0090 -9.5827 1.1687
N O H C Ag
24 8 16 16 8
Direct
0.8217 0.4109 0.8217
0.5693 0.5898 0.6358
0.6783 0.5891 0.3217
0.6091 0.3542 0.0771
0.4307 0.0898 0.8642
0.9307 0.0898 0.6358
0.3909 0.8542 0.4229
0.4307 0.4102 0.3642
0.3217 0.0891 0.1783
0.5693 0.9102 0.1358
0.1091 0.1458 0.9229
0.1783 0.9109 0.6783
0.6091 0.1458 0.5771
0.1091 0.3542 0.4229
0.0693 0.9102 0.3642
0.6783 0.9109 0.8217
0.3217 0.4109 0.6783
0.8217 0.0891 0.3217
0.8909 0.6458 0.5771
0.8909 0.8542 0.0771
0.3909 0.6458 0.9229
0.1783 0.5891 0.1783
0.0693 0.5898 0.8642
0.9307 0.4102 0.1358
0.2135 0.5726 0.4293
0.7135 0.5726 0.0707
0.2865 0.4274 0.9293
0.7865 0.4274 0.5707
0.7865 0.0726 0.0707
0.7135 0.9274 0.5707
0.2135 0.9274 0.9293
0.2865 0.0726 0.4293
0.4844 0.1181 0.5352
0.1492 0.2551 0.4184
0.6492 0.2551 0.0816
0.5156 0.8819 0.4648
0.0156 0.6181 0.5352
0.8508 0.7449 0.5816
0.3508 0.7449 0.9184
0.0156 0.8819 0.0352
0.5156 0.6181 0.9648
0.3508 0.7551 0.4184
0.6492 0.2449 0.5816
0.9844 0.3819 0.4648
0.1492 0.2449 0.9184
0.9844 0.1181 0.9648
0.4844 0.3819 0.0352
0.8508 0.7551 0.0816
0.5586 0.5056 0.3446
0.2521 0.5492 0.9072
0.2479 0.0492 0.9072
0.7521 0.5492 0.5928
0.4414 0.4944 0.6554
0.5586 0.9944 0.8446
0.2479 0.4508 0.4072
0.7521 0.9508 0.0928
0.2521 0.9508 0.4072
0.9414 0.4944 0.8446
0.7479 0.4508 0.0928
0.7479 0.0492 0.5928
0.4414 0.0056 0.1554
0.0586 0.5056 0.1554
0.9414 0.0056 0.3446
0.0586 0.9944 0.6554
0.5546 0.2102 0.3277
0.9454 0.7898 0.8277
0.4454 0.7102 0.1723
0.9454 0.7102 0.3277
0.4454 0.7898 0.6723
0.0546 0.2898 0.6723
0.0546 0.2102 0.1723
0.5546 0.2898 0.8277
```

**Formation energy from the elements**: -0.250 eV per atom